A plane-wave DFT calculation with PBE with a Hubbard U was carried out for an optimized crystal structure of LiAlVO4.

Lattice parameters (Å, degrees): 5.781 5.815 10.094 105.69 90.00 60.19
Sites, in units of the cell vectors:
Li1 0.940 0.120 0.190
Li2 0.440 0.119 0.690
Li3 0.061 0.878 0.811
Li4 0.561 0.878 0.311
Al1 0.000 0.501 0.000
Al2 0.500 0.500 0.500
Al3 0.000 0.500 0.500
Al4 0.499 0.501 0.000
V1 0.751 0.498 0.750
V2 0.499 0.001 0.001
V3 0.251 0.498 0.250
V4 0.000 0.001 0.501
O1 0.352 0.297 0.383
O2 0.852 0.297 0.884
O3 0.866 0.268 0.399
O4 0.366 0.268 0.899
O5 0.134 0.733 0.602
O6 0.633 0.733 0.102
O7 0.649 0.702 0.616
O8 0.149 0.703 0.116
O9 0.097 0.266 0.617
O10 0.597 0.266 0.117
O11 0.637 0.266 0.617
O12 0.137 0.266 0.117
O13 0.360 0.735 0.382
O14 0.860 0.735 0.882
O15 0.905 0.735 0.382
O16 0.405 0.735 0.882

## Properties
* calculated volume: 9.991 A^3/atom
* energy above the lowest structure with this stoichiometry: 0 meV/atom
* magnetic moment: 0.000 μB/atom
* E_tot: -7.107 eV/atom
* formation energy: -2.809 eV/atom